This record from the Materials Project database describes a relaxed Ag2O3 crystal. The functional is r²SCAN.

Cell and atoms, written as extended XYZ:
```
10
Lattice="0.000 6.444 1.846 5.245 0.000 1.846 5.245 6.444 0.000" Properties=species:S:1:pos:R:3 pbc="T T T"
Ag 6.480 3.823 1.846
Ag 6.633 7.045 2.769
Ag 4.010 9.065 1.846
Ag 3.857 5.843 2.769
O 5.423 2.160 1.409
O 7.690 5.382 2.332
O 5.245 6.444 1.522
O 7.868 9.666 2.444
O 5.067 10.728 1.409
O 2.800 7.506 2.332
```

V   12.48 A^3/atom
SG   Fdd2
Formation energy   -70.0 meV/atom
Calculated total energy   -12.1959 eV/atom


This record from the Materials Project database describes a relaxed Er2Fe2Si2C crystal. The functional is r²SCAN.

Cell and atoms, written as extended XYZ:
```
14
Lattice="10.436 0.000 0.000 0.000 3.878 0.000 -4.226 0.000 5.127" Properties=species:S:1:pos:R:3 pbc="T T T"
Er -0.763 0.000 1.662
Er 1.755 1.939 3.465
Er 4.455 1.939 1.662
Er 6.973 0.000 3.465
Fe -1.304 1.939 4.137
Fe 2.296 0.000 0.990
Fe 3.914 0.000 4.137
Fe 7.514 1.939 0.990
Si 1.228 1.939 0.547
Si -0.236 0.000 4.580
Si 6.446 0.000 0.547
Si 4.982 1.939 4.580
C -2.113 1.939 2.564
C 3.105 0.000 2.564
```

V   14.82 A^3/atom
SG   C2/m
Formation energy   -622.3 meV/atom
Calculated total energy   -18.3612 eV/atom


This record from the Materials Project database describes a relaxed TiPd3 crystal. The functional is r²SCAN.

Cell and atoms, written as extended XYZ:
```
16
Lattice="5.514 0.000 0.000 -2.757 4.776 0.000 0.000 0.000 8.990" Properties=species:S:1:pos:R:3 pbc="T T T"
Ti 0.000 0.000 0.000
Ti 0.000 0.000 4.495
Ti 0.000 3.184 2.247
Ti 2.757 1.592 6.742
Pd -1.379 2.388 0.000
Pd -1.379 2.388 4.495
Pd 0.000 1.590 6.742
Pd -1.380 3.980 6.742
Pd 1.377 0.795 2.247
Pd 2.757 0.000 0.000
Pd 2.757 0.000 4.495
Pd 1.379 2.388 0.000
Pd 1.379 2.388 4.495
Pd 1.380 3.980 6.742
Pd 4.137 0.795 2.247
Pd 2.757 3.185 2.247
```

V   14.80 A^3/atom
SG   P6_3/mmc
Formation energy   -654.3 meV/atom
Calculated total energy   -21.1091 eV/atom


Question: What is the V in the second record?
Answer: 14.82 A^3/atom